Entry from Materials Project: a geometry-optimized Na2Cu2B12O21 structure (GGA-PBE).

## Properties
SG: No. 15
size of the total moment: 4.00 Bohr magnetons per cell
formation enthalpy at 0 K: -2605 meV/atom
density: 2.67 g/cm3

a b c (Å): 12.0699 12.0699 17.4160
angles (deg): 55.73 55.73 22.52
Fractional positions:
Na (0.7278, 0.5512, 0.5101)
Na (0.4488, 0.2722, 0.9899)
Na (0.2722, 0.4488, 0.4899)
Na (0.5512, 0.7278, 0.0101)
Cu (0.4613, 0.4428, 0.6065)
Cu (0.5572, 0.5387, 0.8935)
Cu (0.5387, 0.5572, 0.3935)
Cu (0.4428, 0.4613, 0.1065)
B (0.1083, 0.0067, 0.5085)
B (0.9933, 0.8917, 0.9915)
B (0.8917, 0.9933, 0.4915)
B (0.0067, 0.1083, 0.0085)
B (0.9049, 0.4245, 0.7072)
B (0.5755, 0.0951, 0.7928)
B (0.0951, 0.5755, 0.2928)
B (0.4245, 0.9049, 0.2072)
B (0.6610, 0.8459, 0.3158)
B (0.1541, 0.3390, 0.1842)
B (0.3390, 0.1541, 0.6842)
B (0.8459, 0.6610, 0.8158)
B (0.0941, 0.2295, 0.8466)
B (0.7705, 0.9059, 0.6534)
B (0.9059, 0.7705, 0.1534)
B (0.2295, 0.0941, 0.3466)
B (0.0710, 0.8976, 0.8277)
B (0.1024, 0.9290, 0.6723)
B (0.9290, 0.1024, 0.1723)
B (0.8976, 0.0710, 0.3277)
B (0.4672, 0.7067, 0.7033)
B (0.2933, 0.5328, 0.7967)
B (0.5328, 0.2933, 0.2967)
B (0.7067, 0.4672, 0.2033)
O (0.0185, 0.1967, 0.4283)
O (0.8033, 0.9815, 0.0717)
O (0.9815, 0.8033, 0.5717)
O (0.1967, 0.0185, 0.9283)
O (0.9478, 0.1147, 0.5931)
O (0.8853, 0.0522, 0.9069)
O (0.0522, 0.8853, 0.4069)
O (0.1147, 0.9478, 0.0931)
O (0.3542, 0.7192, 0.5043)
O (0.2808, 0.6458, 0.9957)
O (0.6458, 0.2808, 0.4957)
O (0.7192, 0.3542, 0.0043)
O (0.7087, 0.5760, 0.6665)
O (0.4240, 0.2913, 0.8335)
O (0.2913, 0.4240, 0.3335)
O (0.5760, 0.7087, 0.1665)
O (0.8708, 0.6863, 0.3532)
O (0.3137, 0.1292, 0.1468)
O (0.1292, 0.3137, 0.6468)
O (0.6863, 0.8708, 0.8532)
O (0.8815, 0.3821, 0.8034)
O (0.6179, 0.1185, 0.6966)
O (0.1185, 0.6179, 0.1966)
O (0.3821, 0.8815, 0.3034)
O (0.4579, 0.9300, 0.3777)
O (0.0700, 0.5421, 0.1223)
O (0.5421, 0.0700, 0.6223)
O (0.9300, 0.4579, 0.8777)
O (0.3453, 0.0741, 0.7782)
O (0.9259, 0.6547, 0.7218)
O (0.6547, 0.9259, 0.2218)
O (0.0741, 0.3453, 0.2782)
O (0.3395, 0.7571, 0.7958)
O (0.2429, 0.6605, 0.7042)
O (0.6605, 0.2429, 0.2042)
O (0.7571, 0.3395, 0.2958)
O (0.3568, 0.7928, 0.6407)
O (0.2072, 0.6432, 0.8593)
O (0.6432, 0.2072, 0.3593)
O (0.7928, 0.3568, 0.1407)
O (0.9194, 0.0806, 0.7500)
O (0.0806, 0.9194, 0.2500)